# 1
Entry from the Materials Project database: an optimized crystal structure of Mn2PC5NO11 (PBE+U).

a b c (Å): 7.4726 7.7138 9.6072
angles (deg): 75.36 78.67 82.93
Space group P-1 (No. 2)
Symmetry-distinct sites (fractional):
Mn (0.1610, 0.4700, 0.2572) (multiplicity 2)
Mn (0.1949, 0.8094, 0.6162) (multiplicity 2)
P (0.0888, 0.2240, 0.5861) (multiplicity 2)
C (0.0692, 0.5689, 0.9549) (multiplicity 2)
C (0.0848, 0.0010, 0.0011) (multiplicity 2)
C (0.4144, 0.0007, 0.0013) (multiplicity 2)
C (0.4796, 0.2576, 0.2725) (multiplicity 2)
C (0.4904, 0.5693, 0.6896) (multiplicity 2)
N (0.2490, 0.0041, 0.0019) (multiplicity 2)
O (0.0022, 0.7100, 0.5599) (multiplicity 2)
O (0.0204, 0.6838, 0.2929) (multiplicity 2)
O (0.0392, 0.6429, 0.8250) (multiplicity 2)
O (0.0536, 0.0196, 0.6518) (multiplicity 2)
O (0.1945, 0.5980, 0.0130) (multiplicity 2)
O (0.2838, 0.2682, 0.5361) (multiplicity 2)
O (0.3065, 0.8868, 0.4455) (multiplicity 2)
O (0.3348, 0.2585, 0.2200) (multiplicity 2)
O (0.3445, 0.5666, 0.6433) (multiplicity 2)
O (0.3917, 0.5630, 0.2816) (multiplicity 2)
O (0.3940, 0.8669, 0.7157) (multiplicity 2)

* theoretical density: 2.5 g cm⁻³
* formation enthalpy at 0 K: -1.33 eV per atom


# 2
Entry from the Materials Project database: an optimized crystal structure of PrMgW2O6 (PBE+U).

a b c (Å): 5.5039 5.7197 9.7842
angles (deg): 90.00 124.01 90.00
Space group Pc (No. 7)
Symmetry-distinct sites (fractional):
Pr (0.0000, 0.1970, 0.0000) (multiplicity 2)
Mg (0.4771, 0.2984, 0.5003) (multiplicity 2)
W (0.2408, 0.2555, 0.7495) (multiplicity 2)
W (0.7414, 0.2522, 0.2499) (multiplicity 2)
O (0.0222, 0.4532, 0.8180) (multiplicity 2)
O (0.1391, 0.0574, 0.3169) (multiplicity 2)
O (0.3673, 0.4608, 0.1797) (multiplicity 2)
O (0.4814, 0.0698, 0.6785) (multiplicity 2)
O (0.5995, 0.3350, 0.9973) (multiplicity 2)
O (0.8484, 0.1988, 0.5031) (multiplicity 2)

* theoretical density: 8.2 g cm⁻³
* formation enthalpy at 0 K: -2.49 eV per atom


# 3
Entry from the Materials Project database: an optimized crystal structure of VOF (PBE+U).

a b c (Å): 4.6789 5.6378 10.5428
angles (deg): 96.53 90.81 92.01
Space group P-1 (No. 2)
Symmetry-distinct sites (fractional):
V (0.0000, 0.0000, 0.0000) (multiplicity 1)
V (0.0000, 0.5000, 0.5000) (multiplicity 1)
V (0.0135, 0.2512, 0.7615) (multiplicity 2)
V (0.4826, 0.2550, 0.2625) (multiplicity 2)
V (0.5000, 0.0000, 0.5000) (multiplicity 1)
V (0.5000, 0.5000, 0.0000) (multiplicity 1)
O (0.1899, 0.5213, 0.6768) (multiplicity 2)
O (0.2012, 0.0176, 0.1729) (multiplicity 2)
O (0.2045, 0.2741, 0.9326) (multiplicity 2)
O (0.3054, 0.2652, 0.4307) (multiplicity 2)
F (0.2005, 0.7761, 0.4185) (multiplicity 2)
F (0.2975, 0.0246, 0.6729) (multiplicity 2)
F (0.3014, 0.5280, 0.1755) (multiplicity 2)
F (0.3064, 0.7692, 0.9164) (multiplicity 2)

* theoretical density: 4.1 g cm⁻³
* formation enthalpy at 0 K: -2.78 eV per atom


# 4
Entry from the Materials Project database: an optimized crystal structure of Ba3Fe2Br2O5 (PBE+U).

a b c (Å): 10.2152 10.2246 10.2465
angles (deg): 90.00 90.00 90.00
Space group I2_12_12_1 (No. 24)
Symmetry-distinct sites (fractional):
Ba (0.0000, 0.2500, 0.0965) (multiplicity 4)
Ba (0.0966, 0.5000, 0.7500) (multiplicity 4)
Ba (0.2500, 0.0961, 0.5000) (multiplicity 4)
Fe (0.0952, 0.4042, 0.4052) (multiplicity 8)
Br (0.1913, 0.1912, 0.8087) (multiplicity 8)
O (0.0000, 0.2500, 0.3619) (multiplicity 4)
O (0.0097, 0.0095, 0.9902) (multiplicity 8)
O (0.1398, 0.5000, 0.2500) (multiplicity 4)
O (0.2500, 0.3613, 0.5000) (multiplicity 4)

* theoretical density: 4.7 g cm⁻³
* formation enthalpy at 0 K: -2.36 eV per atom


# 5
Entry from the Materials Project database: an optimized crystal structure of MgZnCo4O8 (PBE+U).

a b c (Å): 2.9889 6.9524 7.8453
angles (deg): 108.61 97.38 96.93
Space group P1 (No. 1)
Symmetry-distinct sites (fractional):
Mg (0.0000, 0.0000, 0.0000) (multiplicity 1)
Zn (0.6955, 0.3899, 0.1868) (multiplicity 1)
Co (0.0182, 0.1495, 0.7283) (multiplicity 1)
Co (0.0599, 0.5312, 0.8362) (multiplicity 1)
Co (0.4067, 0.7631, 0.5598) (multiplicity 1)
Co (0.5969, 0.8420, 0.2427) (multiplicity 1)
O (0.1023, 0.3206, 0.9792) (multiplicity 1)
O (0.3080, 0.6013, 0.3107) (multiplicity 1)
O (0.4364, 0.3418, 0.6928) (multiplicity 1)
O (0.5337, 0.9828, 0.7823) (multiplicity 1)
O (0.5782, 0.0896, 0.1791) (multiplicity 1)
O (0.7049, 0.7051, 0.9897) (multiplicity 1)
O (0.9231, 0.9204, 0.4979) (multiplicity 1)
O (0.9330, 0.6436, 0.6342) (multiplicity 1)

* theoretical density: 5.0 g cm⁻³
* formation enthalpy at 0 K: -1.34 eV per atom
* energy above the lowest structure with this stoichiometry: 116 meV/atom


# 6
Entry from the Materials Project database: an optimized crystal structure of AlV2O4 (PBE+U).

a b c (Å): 5.8815 5.9027 5.9076
angles (deg): 60.62 60.58 89.98
Space group P-1 (No. 2)
Symmetry-distinct sites (fractional):
Al (0.1222, 0.3790, 0.2500) (multiplicity 2)
V (0.0000, 0.0000, 0.0000) (multiplicity 1)
V (0.5000, 0.0000, 0.0000) (multiplicity 1)
V (0.5000, 0.0000, 0.5000) (multiplicity 1)
V (0.5000, 0.5000, 0.5000) (multiplicity 1)
O (0.2431, 0.7465, 0.0035) (multiplicity 2)
O (0.2445, 0.2525, 0.0012) (multiplicity 2)
O (0.2474, 0.7419, 0.5025) (multiplicity 2)
O (0.2480, 0.2573, 0.4988) (multiplicity 2)

* theoretical density: 4.3 g cm⁻³
* formation enthalpy at 0 K: -2.76 eV per atom
* energy above the lowest structure with this stoichiometry: 0 meV/atom


# 7
Entry from the Materials Project database: an optimized crystal structure of Ba2Mg2Mn3Tl2O10 (PBE+U).

a b c (Å): 3.7504 3.7590 20.2962
angles (deg): 85.94 85.20 89.87
Space group P1 (No. 1)
Symmetry-distinct sites (fractional):
Ba (0.0000, 0.0000, 0.0000) (multiplicity 1)
Ba (0.2547, 0.2793, 0.3990) (multiplicity 1)
Mg (0.0873, 0.0897, 0.7965) (multiplicity 1)
Mg (0.1572, 0.2090, 0.6016) (multiplicity 1)
Mn (0.5546, 0.5536, 0.8765) (multiplicity 1)
Mn (0.6214, 0.6855, 0.6966) (multiplicity 1)
Mn (0.6909, 0.7360, 0.5196) (multiplicity 1)
Tl (0.4084, 0.3929, 0.1425) (multiplicity 1)
Tl (0.8477, 0.8401, 0.2560) (multiplicity 1)
O (0.0599, 0.5587, 0.8643) (multiplicity 1)
O (0.1082, 0.6796, 0.7268) (multiplicity 1)
O (0.1635, 0.7199, 0.5709) (multiplicity 1)
O (0.3430, 0.3063, 0.2649) (multiplicity 1)
O (0.5134, 0.5162, 0.9732) (multiplicity 1)
O (0.5746, 0.0767, 0.8261) (multiplicity 1)
O (0.6310, 0.1967, 0.6662) (multiplicity 1)
O (0.6774, 0.2325, 0.5294) (multiplicity 1)
O (0.7416, 0.7704, 0.4230) (multiplicity 1)
O (0.9128, 0.8660, 0.1325) (multiplicity 1)

* theoretical density: 6.2 g cm⁻³
* formation enthalpy at 0 K: -2.11 eV per atom


# 8
Entry from the Materials Project database: an optimized crystal structure of V3O5F (PBE+U).

a b c (Å): 8.9842 6.3859 7.2646
angles (deg): 90.00 112.23 90.00
Space group C2/m (No. 12)
Symmetry-distinct sites (fractional):
V (0.0000, 0.0000, 0.0000) (multiplicity 2)
V (0.0000, 0.0000, 0.5000) (multiplicity 2)
V (0.1498, 0.5000, 0.1677) (multiplicity 4)
V (0.1692, 0.5000, 0.6560) (multiplicity 4)
O (0.0000, 0.3068, 0.5000) (multiplicity 4)
O (0.0700, 0.5000, 0.8718) (multiplicity 4)
O (0.1658, 0.2032, 0.1706) (multiplicity 8)
O (0.2346, 0.0000, 0.5322) (multiplicity 4)
F (0.1094, 0.0000, 0.8023) (multiplicity 4)

* theoretical density: 4.3 g cm⁻³
* formation enthalpy at 0 K: -2.58 eV per atom
* energy above the lowest structure with this stoichiometry: 24 meV/atom


Q: The highest theoretical density belongs to which entry?
A: PrMgW2O6


Q: Which of these has the highest theoretical density?
A: PrMgW2O6


Q: Which formula does entry 5 have?
A: MgZnCo4O8